No. 1
# BaGeS3 PBE optimized geometry
# - ρ (g/cm3) = 3.646
# - volume (Å³/atom) = 27.88
data_BaGeS3
_chemical_formula_sum 'Ba8 Ge8 S24'
_symmetry_space_group_name_H-M 'P 1 21/c 1'
_symmetry_Int_Tables_number 14
_symmetry_space_group_name_Hall '-P 2ybc'
_cell_length_a 15.627
_cell_length_b 5.835
_cell_length_c 13.551
_cell_angle_alpha 90.00
_cell_angle_beta 115.49
_cell_angle_gamma 90.00
loop_
_atom_site_label
_atom_site_fract_x
_atom_site_fract_y
_atom_site_fract_z
Ba1 0.137 0.240 0.106
Ba2 0.363 0.747 0.470
Ge1 0.075 0.655 0.307
Ge2 0.425 0.159 0.733
S1 0.075 0.239 0.814
S2 0.101 0.748 0.474
S3 0.179 0.737 0.244
S4 0.322 0.243 0.567
S5 0.400 0.250 0.375
S6 0.425 0.735 0.239


No. 2
# NdBS3 PBE optimized geometry
# - ρ (g/cm3) = 4.065
# - volume (Å³/atom) = 20.52
data_NdBS3
_chemical_formula_sum 'Nd4 B4 S12'
_symmetry_space_group_name_H-M 'P n a 21'
_symmetry_Int_Tables_number 33
_symmetry_space_group_name_Hall 'P 2c -2n'
_cell_length_a 7.573
_cell_length_b 6.072
_cell_length_c 8.927
_cell_angle_alpha 90.00
_cell_angle_beta 90.00
_cell_angle_gamma 90.00
loop_
_atom_site_label
_atom_site_fract_x
_atom_site_fract_y
_atom_site_fract_z
Nd1 0.114 0.069 0.000
B1 0.148 0.601 0.831
S1 0.001 0.394 0.490
S2 0.177 0.836 0.706
S3 0.205 0.868 0.299


No. 3
# TbCeO4 PBE optimized geometry
# - ρ (g/cm3) = 7.412
# - volume (Å³/atom) = 13.56
data_TbCeO4
_chemical_formula_sum 'Tb2 Ce2 O8'
_symmetry_space_group_name_H-M 'P 1 21/m 1'
_symmetry_Int_Tables_number 11
_symmetry_space_group_name_Hall '-P 2yb'
_cell_length_a 3.813
_cell_length_b 5.604
_cell_length_c 7.637
_cell_angle_alpha 90.00
_cell_angle_beta 94.55
_cell_angle_gamma 90.00
loop_
_atom_site_label
_atom_site_fract_x
_atom_site_fract_y
_atom_site_fract_z
Tb1 0.226 0.250 0.127
Ce1 0.267 0.250 0.625
O1 0.236 0.002 0.375
O2 0.278 0.006 0.882


no.,energy of formation from the pure elements (eV/atom)
1,-1.4339
2,-1.5472
3,-3.5549